Record 1
Computed, not measured: a relaxed Li4Mn3FeB4O12 crystal at the PBE+U level of DFT.

Computed properties:
Calculated total energy: -7.22 eV/atom
V: 498.8 Å³ per cell
Formation enthalpy at 0 K: -59.11 eV/f.u.

a b c (Å): 5.248 5.251 20.877
angles (deg): 90.77 90.88 119.84
Fractional positions:
Li 0.679 0.652 0.334
Li 0.653 0.679 0.084
Li 0.679 0.651 0.834
Li 0.652 0.678 0.584
Li 0.348 0.335 0.209
Li 0.338 0.346 0.458
Li 0.349 0.338 0.708
Li 0.338 0.348 0.959
Mn 0.669 0.004 0.443
Mn 0.670 0.003 0.942
Mn 0.320 0.000 0.068
Mn 0.002 0.326 0.316
Mn 0.003 0.323 0.816
Mn 0.006 0.674 0.691
Fe 0.318 0.005 0.566
Fe 0.000 0.676 0.191
B 0.997 0.340 0.064
B 0.997 0.338 0.563
B 0.670 0.006 0.188
B 0.667 0.006 0.687
B 0.341 0.998 0.312
B 0.342 0.998 0.813
B 0.003 0.665 0.439
B 0.004 0.666 0.938
O 0.932 0.255 0.207
O 0.930 0.249 0.708
O 0.746 0.070 0.049
O 0.967 0.578 0.084
O 0.741 0.071 0.550
O 0.979 0.585 0.582
O 0.418 0.025 0.174
O 0.731 0.643 0.431
O 0.423 0.038 0.672
O 0.731 0.642 0.931
O 0.653 0.734 0.182
O 0.643 0.733 0.680
O 0.369 0.273 0.305
O 0.371 0.272 0.805
O 0.271 0.369 0.056
O 0.578 0.968 0.333
O 0.270 0.358 0.556
O 0.579 0.967 0.833
O 0.036 0.422 0.423
O 0.037 0.422 0.923
O 0.246 0.929 0.460
O 0.247 0.930 0.959
O 0.070 0.747 0.297
O 0.071 0.747 0.798

Record 2
Computed, not measured: a relaxed Li4MnFe3B4O12 crystal at the PBE+U level of DFT.

Computed properties:
Calculated total energy: -7.02 eV/atom
V: 252.6 Å³ per cell
Formation enthalpy at 0 K: -56.95 eV/f.u.

a b c (Å): 5.162 6.184 8.083
angles (deg): 78.40 88.54 87.95
Fractional positions:
Li 0.914 0.524 0.147
Li 0.419 0.027 0.650
Li 0.584 0.978 0.351
Li 0.084 0.475 0.851
Mn 0.097 0.738 0.490
Fe 0.409 0.759 0.012
Fe 0.906 0.252 0.510
Fe 0.588 0.242 0.988
B 0.093 0.093 0.169
B 0.402 0.410 0.330
B 0.598 0.588 0.670
B 0.905 0.910 0.832
O 0.979 0.251 0.045
O 0.955 0.003 0.315
O 0.356 0.028 0.152
O 0.542 0.507 0.186
O 0.518 0.251 0.452
O 0.140 0.472 0.346
O 0.857 0.519 0.653
O 0.488 0.753 0.548
O 0.456 0.495 0.813
O 0.643 0.973 0.849
O 0.044 0.005 0.687
O 0.020 0.750 0.954

Q: Which of these has the lowest formation enthalpy at 0 K?
A: Li4Mn3FeB4O12